No. 1
# Ca2PrGaCu2O7

A relaxed structure of Ca2PrGaCu2O7 (PBE-GGA, the Materials Project).

Cell: 11.765 11.765 11.765 Å, 38.80 152.41 153.26°
Positions (direct):
Ca1 0.043 0.154 0.197
Ca2 0.043 0.346 0.388
Ca3 0.957 0.654 0.612
Ca4 0.957 0.846 0.803
Pr1 0.972 0.472 0.500
Pr2 0.972 0.972 0.000
Ga1 0.448 0.771 0.177
Ga2 0.594 0.271 0.823
Cu1 0.470 0.554 0.076
Cu2 0.470 0.894 0.416
Cu3 0.478 0.054 0.584
Cu4 0.478 0.394 0.924
O1 0.358 0.106 0.611
O2 0.358 0.247 0.752
O3 0.470 0.149 0.175
O4 0.470 0.795 0.822
O5 0.476 0.293 0.322
O6 0.476 0.654 0.683
O7 0.495 0.606 0.248
O8 0.495 0.747 0.389
O9 0.760 0.124 0.136
O10 0.971 0.154 0.678
O11 0.971 0.793 0.317
O12 0.974 0.295 0.825
O13 0.974 0.649 0.178
O14 0.989 0.624 0.864

Summary:
- Calculated density: 5.19 g/cm³
- SG: Ima2

No. 2
# Sr6CaY2Ga3Cu6O21

A relaxed structure of Sr6CaY2Ga3Cu6O21 (PBE-GGA, the Materials Project).

Cell: 14.424 14.424 14.424 Å, 72.64 157.93 111.82°
Positions (direct):
Sr1 0.015 0.150 0.165
Sr2 0.015 0.350 0.364
Sr3 0.319 0.182 0.834
Sr4 0.319 0.985 0.636
Sr5 0.348 0.485 0.166
Sr6 0.348 0.682 0.364
Sr7 0.651 0.318 0.636
Sr8 0.651 0.515 0.834
Sr9 0.681 0.015 0.364
Sr10 0.681 0.818 0.166
Sr11 0.985 0.650 0.636
Sr12 0.985 0.850 0.835
Ca1 0.001 0.001 0.000
Ca2 0.001 0.501 0.500
Y1 0.336 0.336 0.000
Y2 0.336 0.836 0.500
Y3 0.666 0.166 0.500
Y4 0.666 0.666 0.000
Ga1 0.084 0.402 0.182
Ga2 0.220 0.902 0.818
Ga3 0.418 0.736 0.182
Ga4 0.554 0.236 0.818
Ga5 0.751 0.069 0.182
Ga6 0.887 0.569 0.818
Cu1 0.166 0.240 0.074
Cu2 0.166 0.593 0.426
Cu3 0.167 0.093 0.926
Cu4 0.167 0.740 0.574
Cu5 0.500 0.574 0.074
Cu6 0.500 0.927 0.426
Cu7 0.501 0.074 0.574
Cu8 0.501 0.427 0.926
Cu9 0.834 0.261 0.426
Cu10 0.834 0.908 0.074
Cu11 0.835 0.408 0.574
Cu12 0.835 0.761 0.926
O1 0.000 0.189 0.688
O2 0.000 0.316 0.815
O3 0.000 0.685 0.185
O4 0.000 0.812 0.311
O5 0.129 0.849 0.632
O6 0.129 0.997 0.780
O7 0.151 0.785 0.866
O8 0.172 0.353 0.694
O9 0.172 0.482 0.824
O10 0.172 0.848 0.190
O11 0.172 0.978 0.320
O12 0.217 0.349 0.220
O13 0.217 0.497 0.368
O14 0.251 0.618 0.133
O15 0.341 0.148 0.318
O16 0.341 0.523 0.692
O17 0.342 0.019 0.189
O18 0.342 0.653 0.823
O19 0.461 0.182 0.632
O20 0.461 0.330 0.779
O21 0.485 0.118 0.867
O22 0.501 0.185 0.185
O23 0.501 0.312 0.312
O24 0.501 0.689 0.689
O25 0.501 0.816 0.815
O26 0.550 0.682 0.221
O27 0.550 0.830 0.368
O28 0.584 0.951 0.133
O29 0.658 0.348 0.176
O30 0.658 0.982 0.810
O31 0.659 0.478 0.306
O32 0.659 0.853 0.680
O33 0.795 0.515 0.632
O34 0.795 0.663 0.780
O35 0.819 0.451 0.867
O36 0.829 0.153 0.811
O37 0.829 0.519 0.177
O38 0.830 0.023 0.682
O39 0.830 0.648 0.308
O40 0.883 0.015 0.220
O41 0.883 0.163 0.368
O42 0.918 0.285 0.134

Summary:
- Calculated density: 5.35 g/cm³
- SG: Ima2

What did we get for total magnetic moment? Answer: 0.021 0.049 μB per formula unit, in the order shown.
What did we get for formation energy? Answer: -31.97 -94.70 eV/f.u., in the order shown.